# CrCuO4 GGA+U optimized geometry
# - Magnetic moment: 0.167 μB/atom
# - Formation energy from the elements: -1.3519 eV/atom
# - Final energy: -73.82 eV for the cell shown
# - Calculated volume: 12.27 A^3/atom
data_CrCuO4
_chemical_formula_sum 'Cr2 Cu2 O8'
_symmetry_space_group_name_H-M 'P 1'
_symmetry_Int_Tables_number 1
_cell_length_a 5.275
_cell_length_b 5.275
_cell_length_c 5.958
_cell_angle_alpha 90.00
_cell_angle_beta 90.00
_cell_angle_gamma 117.38
loop_
_symmetry_equiv_pos_as_xyz
'x,y,z'
loop_
_atom_site_label
_atom_site_type_symbol
_atom_site_fract_x
_atom_site_fract_y
_atom_site_fract_z
Cu1 Cu 0.000 0.000 0.500
Cu2 Cu 0.000 0.000 0.000
O1 O 0.263 0.737 0.970
O2 O 0.215 0.259 0.750
O3 O 0.741 0.785 0.750
O4 O 0.737 0.263 0.470
O5 O 0.259 0.215 0.250
O6 O 0.737 0.263 0.030
O7 O 0.263 0.737 0.530
O8 O 0.785 0.741 0.250
Cr1 Cr 0.633 0.367 0.250
Cr2 Cr 0.367 0.633 0.750


# KV4O8 GGA+U optimized geometry
# - Magnetic moment: 0.385 μB/atom
# - Formation energy from the elements: -2.4562 eV/atom
# - Final energy: -96.66 eV for the cell shown
# - Calculated volume: 11.77 A^3/atom
data_KV4O8
_chemical_formula_sum 'K1 V4 O8'
_symmetry_space_group_name_H-M 'P 1'
_symmetry_Int_Tables_number 1
_cell_length_a 2.921
_cell_length_b 7.383
_cell_length_c 7.383
_cell_angle_alpha 87.76
_cell_angle_beta 78.59
_cell_angle_gamma 78.59
loop_
_symmetry_equiv_pos_as_xyz
'x,y,z'
loop_
_atom_site_label
_atom_site_type_symbol
_atom_site_fract_x
_atom_site_fract_y
_atom_site_fract_z
V1 V 0.351 0.817 0.481
V2 V 0.649 0.183 0.519
V3 V 0.832 0.519 0.817
V4 V 0.168 0.481 0.183
O1 O 0.800 0.355 0.046
O2 O 0.845 0.954 0.355
O3 O 0.540 0.625 0.295
O4 O 0.835 0.705 0.625
O5 O 0.200 0.645 0.954
O6 O 0.155 0.046 0.645
O7 O 0.165 0.295 0.375
O8 O 0.460 0.375 0.705
K1 K 0.500 0.000 0.000


# Na3Ni2P2C2O14 GGA+U optimized geometry
# - E above lowest polymorph: 30.7 meV/atom
# - Magnetic moment: 0.130 μB/atom
# - Formation energy from the elements: -1.9612 eV/atom
# - Final energy: -288.98 eV for the cell shown
# - Calculated volume: 13.14 A^3/atom
data_Na3Ni2P2C2O14
_chemical_formula_sum 'Na6 Ni4 P4 C4 O28'
_symmetry_space_group_name_H-M 'P 1'
_symmetry_Int_Tables_number 1
_cell_length_a 10.271
_cell_length_b 10.518
_cell_length_c 6.493
_cell_angle_alpha 90.00
_cell_angle_beta 90.00
_cell_angle_gamma 59.52
loop_
_symmetry_equiv_pos_as_xyz
'x,y,z'
loop_
_atom_site_label
_atom_site_type_symbol
_atom_site_fract_x
_atom_site_fract_y
_atom_site_fract_z
O1 O 0.276 0.050 0.444
O2 O 0.478 0.063 0.750
O3 O 0.142 0.282 0.757
O4 O 0.598 0.537 0.739
O5 O 0.520 0.941 0.254
O6 O 0.020 0.441 0.246
O7 O 0.098 0.037 0.761
O8 O 0.642 0.782 0.743
O9 O 0.268 0.064 0.060
O10 O 0.172 0.646 0.248
O11 O 0.768 0.564 0.440
O12 O 0.328 0.851 0.747
O13 O 0.672 0.146 0.252
O14 O 0.858 0.715 0.244
O15 O 0.729 0.940 0.938
O16 O 0.776 0.550 0.056
O17 O 0.135 0.807 0.751
O18 O 0.731 0.941 0.563
O19 O 0.229 0.440 0.562
O20 O 0.368 0.685 0.247
O21 O 0.828 0.351 0.753
O22 O 0.868 0.185 0.253
O23 O 0.635 0.307 0.749
O24 O 0.978 0.563 0.750
O25 O 0.358 0.215 0.256
O26 O 0.403 0.456 0.249
O27 O 0.231 0.441 0.937
O28 O 0.903 0.956 0.251
C1 C 0.185 0.894 0.754
C2 C 0.318 0.600 0.248
C3 C 0.685 0.394 0.746
C4 C 0.818 0.100 0.252
P1 P 0.853 0.570 0.248
P2 P 0.143 0.428 0.750
P3 P 0.643 0.928 0.750
P4 P 0.353 0.070 0.252
Ni1 Ni 0.278 0.068 0.746
Ni2 Ni 0.215 0.432 0.250
Ni3 Ni 0.778 0.568 0.754
Ni4 Ni 0.715 0.932 0.250
Na1 Na 0.497 0.257 0.987
Na2 Na 0.496 0.256 0.515
Na3 Na 0.503 0.748 0.461
Na4 Na 0.997 0.757 0.513
Na5 Na 0.003 0.248 0.039
Na6 Na 0.996 0.756 0.985